[1]
SrTe3O8: relaxed, r2SCAN.

a = 6.854 Å, b = 6.854 Å, c = 6.771 Å
α = 90.00°, β = 90.00°, γ = 90.00°
Space group P4_2/m (No. 84)
Unique sites:
Sr: 0.000 0.000 0.250 (multiplicity 2)
Te: 0.000 0.500 0.000 (multiplicity 2)
Te: 0.218 0.436 0.500 (multiplicity 4)
O: 0.045 0.677 0.500 (multiplicity 4)
O: 0.119 0.754 0.000 (multiplicity 4)
O: 0.186 0.410 0.195 (multiplicity 8)

[2]
MgUO4: relaxed, r2SCAN.

a = 6.527 Å, b = 6.909 Å, c = 6.589 Å
α = 90.00°, β = 90.00°, γ = 90.00°
Space group Imma (No. 74)
Unique sites:
Mg: 0.000 0.000 0.000 (multiplicity 4)
U: 0.000 0.250 0.471 (multiplicity 4)
O: 0.000 0.021 0.692 (multiplicity 8)
O: 0.200 0.250 0.029 (multiplicity 8)

[3]
DyTlTe2: relaxed, r2SCAN.

a = 4.4419 Å, b = 4.4419 Å, c = 24.4467 Å
α = 90.00°, β = 90.00°, γ = 120.00°
Space group R-3m (No. 166, hexagonal axes)
Unique sites:
Dy: 0.0000 0.0000 0.0000 (multiplicity 3)
Tl: 0.0000 0.0000 0.5000 (multiplicity 3)
Te: 0.0000 0.0000 0.2624 (multiplicity 6)

no.,raw total energy (eV/atom),DFT formation energy (kJ/mol of formula units)
1,-13.1766,-1828
2,-21.2653,-1890
3,-35.2498,-483